{
  "formula": "Sr8MgMn6O20",
  "functional": "PBE with a Hubbard U",
  "state": "relaxed",
  "lattice_angstrom": [[-4.583, -2.023, -2.401], [3.492, -4.561, 3.607], [-7.398, 3.218, 11.412]],
  "species": ["Sr", "Sr", "Sr", "Sr", "Sr", "Sr", "Sr", "Sr", "O", "O", "O", "O", "O", "O", "O", "O", "O", "O", "O", "O", "O", "O", "O", "O", "O", "O", "O", "O", "Mn", "Mn", "Mn", "Mn", "Mn", "Mn", "Mg"],
  "fractional_positions": [[0.760, 0.519, 0.890], [0.457, 0.914, 0.803], [0.257, 0.513, 0.600], [0.240, 0.481, 0.110], [0.543, 0.086, 0.197], [0.743, 0.487, 0.400], [0.970, 0.940, 0.627], [0.030, 0.060, 0.373], [0.143, 0.783, 0.263], [0.222, 0.445, 0.352], [0.543, 0.086, 0.368], [0.360, 0.217, 0.737], [0.622, 0.782, 0.465], [0.347, 0.206, 0.962], [0.640, 0.783, 0.263], [0.653, 0.794, 0.038], [0.141, 0.794, 0.038], [0.040, 0.080, 0.138], [0.457, 0.914, 0.632], [0.272, 0.544, 0.841], [0.728, 0.456, 0.159], [0.378, 0.218, 0.535], [0.160, 0.782, 0.465], [0.859, 0.206, 0.962], [0.840, 0.218, 0.535], [0.960, 0.920, 0.862], [0.778, 0.555, 0.648], [0.857, 0.217, 0.737], [0.500, 0.000, 0.500], [0.000, 0.000, 0.000], [0.631, 0.262, 0.647], [0.123, 0.246, 0.838], [0.369, 0.738, 0.353], [0.877, 0.754, 0.162], [0.500, 0.000, 0.000]],
  "relative_energy_mev_per_atom": 55
}

{
  "formula": "MgMn3TeO8",
  "functional": "PBE with a Hubbard U",
  "state": "relaxed",
  "lattice_angstrom": [[10.923, -0.346, -0.213], [8.913, 5.589, -0.146], [14.375, 3.828, 2.341]],
  "species": ["O", "O", "O", "O", "O", "O", "O", "O", "Mg", "Mn", "Mn", "Mn", "Te"],
  "fractional_positions": [[0.524, 0.000, 0.719], [0.518, 0.553, 0.210], [0.476, 0.000, 0.281], [0.967, 0.000, 0.747], [0.482, 0.447, 0.790], [0.035, 0.553, 0.684], [0.965, 0.447, 0.316], [0.033, 0.000, 0.253], [0.000, 0.000, 0.500], [0.500, 0.500, 0.000], [0.000, 0.500, 0.000], [0.500, 0.000, 0.000], [0.000, 0.000, 0.000]],
  "relative_energy_mev_per_atom": 133
}

{
  "formula": "MgMn3TeO8",
  "functional": "PBE with a Hubbard U",
  "state": "relaxed",
  "lattice_angstrom": [[-10.037, 1.563, 2.960], [-9.893, -3.616, -0.550], [-14.058, -2.975, 3.900]],
  "species": ["O", "O", "O", "O", "O", "O", "O", "O", "Mn", "Mn", "Mn", "Mg", "Te"],
  "fractional_positions": [[0.461, 0.000, 0.761], [0.015, 0.558, 0.210], [0.934, 0.000, 0.313], [0.985, 0.442, 0.791], [0.543, 0.558, 0.675], [0.457, 0.442, 0.325], [0.539, 0.000, 0.239], [0.066, 0.000, 0.687], [0.500, 0.500, 0.000], [0.500, 0.000, 0.000], [0.000, 0.500, 0.000], [0.500, 0.000, 0.500], [0.000, 0.000, 0.000]],
  "relative_energy_mev_per_atom": 10
}

{
  "formula": "MgMn3TeO8",
  "functional": "PBE with a Hubbard U",
  "state": "relaxed",
  "lattice_angstrom": [[6.201, 0.053, 0.062], [3.145, 5.528, -0.029], [3.166, 1.805, 5.017]],
  "species": ["O", "O", "O", "O", "O", "O", "O", "O", "Te", "Mg", "Mn", "Mn", "Mn"],
  "fractional_positions": [[0.727, 0.286, 0.269], [0.278, 0.693, 0.278], [0.269, 0.286, 0.727], [0.244, 0.316, 0.244], [0.731, 0.714, 0.273], [0.722, 0.307, 0.722], [0.756, 0.684, 0.756], [0.273, 0.714, 0.731], [0.500, 0.500, 0.500], [0.000, 0.500, 0.000], [0.500, 0.000, 0.500], [0.500, 0.500, 0.000], [0.000, 0.500, 0.500]],
  "relative_energy_mev_per_atom": 0
}

{
  "formula": "Mg4Mn5Te3O18",
  "functional": "PBE with a Hubbard U",
  "state": "relaxed",
  "lattice_angstrom": [[4.517, 7.665, 0.000], [-4.517, 7.665, 0.000], [0.000, 0.589, 10.700]],
  "species": ["O", "O", "O", "O", "O", "O", "O", "O", "O", "O", "O", "O", "O", "O", "O", "O", "O", "O", "O", "O", "O", "O", "O", "O", "O", "O", "O", "O", "O", "O", "O", "O", "O", "O", "O", "O", "Te", "Te", "Te", "Te", "Te", "Te", "Mn", "Mn", "Mn", "Mn", "Mn", "Mn", "Mn", "Mn", "Mn", "Mn", "Mg", "Mg", "Mg", "Mg", "Mg", "Mg", "Mg", "Mg"],
  "fractional_positions": [[0.729, 0.770, 0.326], [0.082, 0.765, 0.444], [0.885, 0.566, 0.110], [0.434, 0.115, 0.390], [0.115, 0.434, 0.890], [0.233, 0.903, 0.567], [0.545, 0.250, 0.202], [0.242, 0.558, 0.217], [0.566, 0.885, 0.610], [0.412, 0.115, 0.900], [0.885, 0.588, 0.600], [0.903, 0.233, 0.067], [0.588, 0.885, 0.100], [0.097, 0.767, 0.933], [0.049, 0.088, 0.843], [0.271, 0.230, 0.674], [0.115, 0.412, 0.400], [0.442, 0.758, 0.283], [0.430, 0.414, 0.438], [0.767, 0.097, 0.433], [0.758, 0.442, 0.783], [0.570, 0.586, 0.562], [0.912, 0.951, 0.657], [0.455, 0.750, 0.798], [0.750, 0.455, 0.298], [0.918, 0.235, 0.556], [0.235, 0.918, 0.056], [0.414, 0.430, 0.938], [0.230, 0.271, 0.174], [0.586, 0.570, 0.062], [0.250, 0.545, 0.702], [0.088, 0.049, 0.343], [0.770, 0.729, 0.826], [0.951, 0.912, 0.157], [0.558, 0.242, 0.717], [0.765, 0.082, 0.944], [0.660, 0.665, 0.194], [0.000, 0.000, 0.000], [0.665, 0.660, 0.694], [0.340, 0.335, 0.806], [0.000, 0.000, 0.500], [0.335, 0.340, 0.306], [0.003, 0.715, 0.760], [0.997, 0.285, 0.240], [0.124, 0.549, 0.058], [0.190, 0.810, 0.250], [0.451, 0.876, 0.442], [0.876, 0.451, 0.942], [0.715, 0.003, 0.260], [0.285, 0.997, 0.740], [0.810, 0.190, 0.750], [0.549, 0.124, 0.558], [0.934, 0.656, 0.428], [0.344, 0.066, 0.072], [0.373, 0.679, 0.950], [0.656, 0.934, 0.928], [0.321, 0.627, 0.550], [0.066, 0.344, 0.572], [0.679, 0.373, 0.450], [0.627, 0.321, 0.050]]
}

{
  "formula": "MgMn3TeO8",
  "functional": "PBE with a Hubbard U",
  "state": "relaxed",
  "lattice_angstrom": [[-1.842, -2.283, -5.670], [-3.460, -5.309, -0.824], [-5.935, 0.177, -1.864]],
  "species": ["O", "O", "O", "O", "O", "O", "O", "O", "Mg", "Mn", "Mn", "Mn", "Te"],
  "fractional_positions": [[0.716, 0.716, 0.740], [0.735, 0.274, 0.773], [0.284, 0.284, 0.260], [0.249, 0.249, 0.714], [0.751, 0.751, 0.286], [0.265, 0.726, 0.227], [0.726, 0.265, 0.227], [0.274, 0.735, 0.773], [0.000, 0.000, 0.000], [0.500, 0.500, 0.000], [0.000, 0.500, 0.500], [0.500, 0.000, 0.500], [0.500, 0.500, 0.500]],
  "relative_energy_mev_per_atom": 121
}

{
  "formula": "MgMn3TeO8",
  "functional": "PBE with a Hubbard U",
  "state": "relaxed",
  "lattice_angstrom": [[-5.239, 1.946, 2.695], [-5.712, -1.337, -2.462], [-3.852, -4.030, 2.724]],
  "species": ["O", "O", "O", "O", "O", "O", "O", "O", "Mn", "Mn", "Mn", "Te", "Mg"],
  "fractional_positions": [[0.261, 0.291, 0.713], [0.723, 0.265, 0.723], [0.740, 0.710, 0.291], [0.291, 0.710, 0.740], [0.258, 0.295, 0.258], [0.271, 0.746, 0.271], [0.745, 0.680, 0.745], [0.713, 0.291, 0.261], [0.993, 0.495, 0.503], [0.506, 0.996, 0.506], [0.503, 0.495, 0.993], [0.500, 0.510, 0.500], [0.130, 0.162, 0.130]],
  "relative_energy_mev_per_atom": 12
}

{
  "formula": "MgTi2MnO6",
  "functional": "PBE with a Hubbard U",
  "state": "relaxed",
  "lattice_angstrom": [[0.605, 2.034, 4.694], [-4.717, -1.157, -1.717], [-2.141, -8.792, 4.089]],
  "species": ["Ti", "Ti", "Ti", "Ti", "O", "O", "O", "O", "O", "O", "O", "O", "O", "O", "O", "O", "Mn", "Mn", "Mg", "Mg"],
  "fractional_positions": [[0.928, 0.855, 0.217], [0.573, 0.146, 0.281], [0.073, 0.146, 0.781], [0.428, 0.855, 0.717], [0.595, 0.437, 0.369], [0.095, 0.437, 0.869], [0.843, 0.036, 0.369], [0.193, 0.788, 0.369], [0.343, 0.036, 0.869], [0.803, 0.226, 0.633], [0.923, 0.564, 0.133], [0.303, 0.226, 0.133], [0.641, 0.944, 0.133], [0.423, 0.564, 0.633], [0.693, 0.788, 0.869], [0.141, 0.944, 0.633], [0.179, 0.358, 0.462], [0.679, 0.358, 0.962], [0.322, 0.645, 0.033], [0.822, 0.645, 0.533]]
}

{
  "formula": "MgTiMnV4O12",
  "functional": "PBE with a Hubbard U",
  "state": "relaxed",
  "lattice_angstrom": [[-4.913, -4.352, 2.860], [5.923, -1.347, 3.789], [0.773, 4.171, 3.457]],
  "species": ["Mg", "O", "O", "O", "O", "O", "O", "O", "O", "O", "O", "O", "O", "V", "V", "V", "V", "Ti", "Mn"],
  "fractional_positions": [[0.718, 0.718, 0.750], [0.400, 0.701, 0.621], [0.406, 0.053, 0.840], [0.701, 0.400, 0.879], [0.796, 0.026, 0.853], [0.172, 0.968, 0.169], [0.668, 0.854, 0.352], [0.594, 0.278, 0.405], [0.053, 0.406, 0.660], [0.278, 0.594, 0.095], [0.026, 0.796, 0.647], [0.968, 0.172, 0.331], [0.854, 0.668, 0.148], [0.837, 0.389, 0.279], [0.390, 0.837, 0.221], [0.621, 0.193, 0.744], [0.193, 0.621, 0.756], [0.920, 0.920, 0.250], [0.108, 0.108, 0.750]],
  "relative_energy_mev_per_atom": 0
}

{
  "formula": "MgTiMnV4O12",
  "functional": "PBE with a Hubbard U",
  "state": "relaxed",
  "lattice_angstrom": [[7.193, -0.178, 0.359], [-0.943, 7.133, -0.359], [-1.274, 1.145, 5.363]],
  "species": ["O", "O", "O", "O", "O", "O", "O", "O", "O", "O", "O", "O", "V", "V", "V", "V", "Mn", "Mg", "Ti"],
  "fractional_positions": [[0.357, 0.646, 0.957], [0.809, 0.068, 0.899], [0.650, 0.345, 0.067], [0.132, 0.952, 0.109], [0.952, 0.132, 0.391], [0.345, 0.650, 0.433], [0.633, 0.865, 0.260], [0.404, 0.075, 0.823], [0.068, 0.809, 0.601], [0.075, 0.404, 0.677], [0.646, 0.357, 0.543], [0.865, 0.633, 0.240], [0.370, 0.867, 0.125], [0.212, 0.629, 0.665], [0.629, 0.212, 0.835], [0.867, 0.370, 0.375], [0.091, 0.091, 0.750], [0.567, 0.567, 0.250], [0.901, 0.901, 0.250]],
  "relative_energy_mev_per_atom": 39
}

{
  "formula": "MgMnV2O6",
  "functional": "PBE with a Hubbard U",
  "state": "relaxed",
  "lattice_angstrom": [[-2.149, -2.585, 1.972], [4.429, 1.198, 2.548], [-3.298, 5.120, 3.117]],
  "species": ["O", "O", "O", "O", "O", "O", "Mg", "V", "V", "Mn"],
  "fractional_positions": [[0.997, 0.994, 0.682], [0.255, 0.510, 0.866], [0.721, 0.442, 0.590], [0.337, 0.672, 0.427], [0.790, 0.580, 0.166], [0.061, 0.121, 0.329], [0.225, 0.450, 0.162], [0.889, 0.776, 0.411], [0.171, 0.342, 0.608], [0.839, 0.677, 0.871]],
  "relative_energy_mev_per_atom": 1
}

{
  "formula": "MgMnV2O6",
  "functional": "PBE with a Hubbard U",
  "state": "relaxed",
  "lattice_angstrom": [[3.971, 0.000, 0.000], [-1.985, 4.864, -0.813], [0.002, 1.224, 6.498]],
  "species": ["O", "O", "O", "O", "O", "O", "V", "V", "Mg", "Mn"],
  "fractional_positions": [[0.987, 0.972, 0.331], [0.267, 0.532, 0.351], [0.693, 0.385, 0.570], [0.284, 0.566, 0.795], [0.716, 0.430, 0.088], [0.017, 0.033, 0.789], [0.149, 0.297, 0.602], [0.810, 0.619, 0.331], [0.820, 0.638, 0.821], [0.133, 0.265, 0.072]],
  "relative_energy_mev_per_atom": 0
}

Number 1: spin magnetization 20.0 μB/f.u., formation energy -2.52 eV/atom. Number 2: spin magnetization 11.0 μB/f.u., formation energy -1.85 eV/atom. Number 3: spin magnetization 13.0 μB/f.u., formation energy -1.98 eV/atom. Number 4: spin magnetization 13.0 μB/f.u., formation energy -1.99 eV/atom. Number 5: spin magnetization 25.0 μB/f.u., formation energy -2.16 eV/atom. Number 6: spin magnetization 11.0 μB/f.u., formation energy -1.86 eV/atom. Number 7: spin magnetization 13.0 μB/f.u., formation energy -1.97 eV/atom. Number 8: spin magnetization 0.0 μB/f.u., formation energy -3.16 eV/atom. Number 9: spin magnetization 9.0 μB/f.u., formation energy -2.59 eV/atom. Number 10: spin magnetization 9.0 μB/f.u., formation energy -2.55 eV/atom. Number 11: spin magnetization 7.0 μB/f.u., formation energy -2.47 eV/atom. Number 12: spin magnetization 7.0 μB/f.u., formation energy -2.47 eV/atom.